# 1
{"formula": "Na2La2MgTi2O8", "functional": "GGA-PBE", "state": "relaxed", "cell": [[3.940, 0.000, 0.000], [0.000, 3.940, 0.000], [0.000, 0.000, 12.215]], "species": ["Na", "Na", "La", "La", "Mg", "Ti", "Ti", "O", "O", "O", "O", "O", "O", "O", "O"], "frac_coords": [[0.000, 0.500, 0.136], [0.500, 0.000, 0.864], [0.000, 0.500, 0.390], [0.500, 0.000, 0.610], [0.000, 0.000, 0.000], [0.000, 0.500, 0.766], [0.500, 0.000, 0.234], [0.000, 0.000, 0.239], [0.000, 0.000, 0.761], [0.000, 0.500, 0.581], [0.000, 0.500, 0.934], [0.500, 0.000, 0.066], [0.500, 0.000, 0.419], [0.500, 0.500, 0.256], [0.500, 0.500, 0.744]], "ef_ev_per_atom": -2.981, "magmom_total_mub_per_cell": 0.4, "energy_ev_per_atom": -7.247, "space_group": "P-4m2, No. 115", "relative_energy_mev_per_atom": 0}

***

# 2
{"formula": "KCa4Si8H16O28F", "functional": "GGA-PBE", "state": "relaxed", "cell": [[10.433, 0.000, 0.000], [0.000, 10.433, 0.000], [0.000, 0.000, 12.783]], "species": ["K", "K", "Ca", "Ca", "Ca", "Ca", "Ca", "Ca", "Ca", "Ca", "Si", "Si", "Si", "Si", "Si", "Si", "Si", "Si", "Si", "Si", "Si", "Si", "Si", "Si", "Si", "Si", "H", "H", "H", "H", "H", "H", "H", "H", "H", "H", "H", "H", "H", "H", "H", "H", "H", "H", "H", "H", "H", "H", "H", "H", "H", "H", "H", "H", "H", "H", "H", "H", "O", "O", "O", "O", "O", "O", "O", "O", "O", "O", "O", "O", "O", "O", "O", "O", "O", "O", "O", "O", "O", "O", "O", "O", "O", "O", "O", "O", "O", "O", "O", "O", "O", "O", "O", "O", "O", "O", "O", "O", "O", "O", "O", "O", "O", "O", "O", "O", "O", "O", "O", "O", "O", "O", "O", "O", "F", "F"], "frac_coords": [[0.000, 0.000, 0.000], [0.500, 0.500, 0.500], [0.186, 0.237, 0.000], [0.237, 0.814, 0.000], [0.263, 0.314, 0.500], [0.314, 0.737, 0.500], [0.686, 0.263, 0.500], [0.737, 0.686, 0.500], [0.763, 0.186, 0.000], [0.814, 0.763, 0.000], [0.051, 0.202, 0.242], [0.051, 0.202, 0.758], [0.202, 0.949, 0.242], [0.202, 0.949, 0.758], [0.298, 0.449, 0.258], [0.298, 0.449, 0.742], [0.449, 0.702, 0.258], [0.449, 0.702, 0.742], [0.551, 0.298, 0.258], [0.551, 0.298, 0.742], [0.702, 0.551, 0.258], [0.702, 0.551, 0.742], [0.798, 0.051, 0.242], [0.798, 0.051, 0.758], [0.949, 0.798, 0.242], [0.949, 0.798, 0.758], [0.005, 0.357, 0.380], [0.005, 0.357, 0.620], [0.094, 0.800, 0.470], [0.094, 0.800, 0.530], [0.143, 0.495, 0.120], [0.143, 0.495, 0.880], [0.200, 0.094, 0.470], [0.200, 0.094, 0.530], [0.300, 0.594, 0.030], [0.300, 0.594, 0.970], [0.357, 0.995, 0.380], [0.357, 0.995, 0.620], [0.406, 0.300, 0.030], [0.406, 0.300, 0.970], [0.495, 0.857, 0.120], [0.495, 0.857, 0.880], [0.505, 0.143, 0.120], [0.505, 0.143, 0.880], [0.594, 0.700, 0.030], [0.594, 0.700, 0.970], [0.643, 0.005, 0.380], [0.643, 0.005, 0.620], [0.700, 0.406, 0.030], [0.700, 0.406, 0.970], [0.800, 0.906, 0.470], [0.800, 0.906, 0.530], [0.857, 0.505, 0.120], [0.857, 0.505, 0.880], [0.906, 0.200, 0.470], [0.906, 0.200, 0.530], [0.995, 0.643, 0.380], [0.995, 0.643, 0.620], [0.033, 0.215, 0.116], [0.033, 0.215, 0.884], [0.071, 0.291, 0.372], [0.071, 0.291, 0.628], [0.097, 0.840, 0.279], [0.097, 0.840, 0.721], [0.137, 0.363, 0.250], [0.137, 0.363, 0.750], [0.160, 0.097, 0.279], [0.160, 0.097, 0.721], [0.209, 0.429, 0.128], [0.209, 0.429, 0.872], [0.215, 0.967, 0.116], [0.215, 0.967, 0.884], [0.285, 0.467, 0.384], [0.285, 0.467, 0.616], [0.291, 0.929, 0.372], [0.291, 0.929, 0.628], [0.340, 0.597, 0.221], [0.340, 0.597, 0.779], [0.363, 0.863, 0.250], [0.363, 0.863, 0.750], [0.403, 0.340, 0.221], [0.403, 0.340, 0.779], [0.429, 0.791, 0.128], [0.429, 0.791, 0.872], [0.467, 0.715, 0.384], [0.467, 0.715, 0.616], [0.533, 0.285, 0.384], [0.533, 0.285, 0.616], [0.571, 0.209, 0.128], [0.571, 0.209, 0.872], [0.597, 0.660, 0.221], [0.597, 0.660, 0.779], [0.637, 0.137, 0.250], [0.637, 0.137, 0.750], [0.660, 0.403, 0.221], [0.660, 0.403, 0.779], [0.709, 0.071, 0.372], [0.709, 0.071, 0.628], [0.715, 0.533, 0.384], [0.715, 0.533, 0.616], [0.785, 0.033, 0.116], [0.785, 0.033, 0.884], [0.791, 0.571, 0.128], [0.791, 0.571, 0.872], [0.840, 0.903, 0.279], [0.840, 0.903, 0.721], [0.863, 0.637, 0.250], [0.863, 0.637, 0.750], [0.903, 0.160, 0.279], [0.903, 0.160, 0.721], [0.929, 0.709, 0.372], [0.929, 0.709, 0.628], [0.967, 0.785, 0.116], [0.967, 0.785, 0.884], [0.000, 0.000, 0.500], [0.500, 0.500, 0.000]], "ef_ev_per_atom": -1.874, "magmom_total_mub_per_cell": 0.0, "energy_ev_per_atom": -5.798, "space_group": "P4/mnc, No. 128", "relative_energy_mev_per_atom": 621}

***

# 3
{"formula": "LaP3H6O12", "functional": "GGA-PBE", "state": "relaxed", "cell": [[6.942, 0.000, 0.000], [-3.471, 6.012, 0.000], [0.000, 0.000, 6.175]], "species": ["La", "P", "P", "P", "H", "H", "H", "H", "H", "H", "O", "O", "O", "O", "O", "O", "O", "O", "O", "O", "O", "O"], "frac_coords": [[0.000, 0.000, 0.000], [0.391, 0.119, 0.500], [0.728, 0.609, 0.500], [0.881, 0.272, 0.500], [0.048, 0.569, 0.125], [0.048, 0.569, 0.875], [0.431, 0.479, 0.125], [0.431, 0.479, 0.875], [0.521, 0.952, 0.125], [0.521, 0.952, 0.875], [0.049, 0.655, 0.000], [0.275, 0.025, 0.289], [0.275, 0.025, 0.711], [0.345, 0.394, 0.000], [0.486, 0.385, 0.500], [0.606, 0.951, 0.000], [0.615, 0.101, 0.500], [0.749, 0.725, 0.289], [0.749, 0.725, 0.711], [0.899, 0.514, 0.500], [0.975, 0.251, 0.289], [0.975, 0.251, 0.711]], "ef_ev_per_atom": -2.279, "magmom_total_mub_per_cell": 0.0, "energy_ev_per_atom": -6.491, "space_group": "P-6, No. 174"}